First-principles (GGA+U) data for a relaxed V2NiP2O10 crystal, as listed in the Materials Project.

Results
- space group = Pc, No. 7
- magnetic moment (μB per formula unit) = 4.00
- formation enthalpy at 0 K (kJ/mol of formula units) = -3563
- energy relative to the lowest polymorph listed for this composition (eV/atom) = 0.0062

a = 7.4035 Å, b = 7.3604 Å, c = 7.4145 Å
α = 119.98°, β = 89.99°, γ = 90.01°
Fractional coordinates of all 30 atoms:
1 V 0.2751 0.2963 0.0360
2 V 0.7249 0.7038 0.9642
3 V 0.2249 0.7964 0.5363
4 V 0.7750 0.2039 0.4642
5 O 0.5072 0.1816 0.9108
6 O 0.1611 0.0031 0.7727
7 O 0.8383 0.9968 0.2274
8 O 0.7469 0.0755 0.6343
9 O 0.6618 0.4967 0.7275
10 O 0.0073 0.3186 0.5888
11 O 0.2503 0.0882 0.1451
12 O 0.7506 0.4117 0.3547
13 O 0.2467 0.4243 0.8656
14 O 0.0028 0.3167 0.0964
15 O 0.2533 0.9244 0.3658
16 O 0.9972 0.6831 0.9036
17 O 0.4927 0.8184 0.0889
18 O 0.7534 0.5757 0.1344
19 O 0.4972 0.8169 0.5964
20 O 0.9929 0.6815 0.4109
21 O 0.7492 0.9116 0.8548
22 O 0.2496 0.5885 0.6453
23 O 0.5028 0.1833 0.4034
24 O 0.3388 0.5029 0.2724
25 P 0.1228 0.4987 0.7502
26 P 0.6227 0.0013 0.7498
27 P 0.3772 0.9988 0.2502
28 P 0.8774 0.5013 0.2498
29 Ni 0.5002 0.5002 0.4999
30 Ni 0.9996 0.9999 0.0002